Record 1
Here is NaSrNbSnO6 after structural relaxation from the Materials Project. Energies are from PBE-GGA.

```
data_NaSrNbSnO6
_chemical_formula_sum 'Na4 Sr4 Nb4 Sn4 O24'
_cell_length_a 8.127
_cell_length_b 8.127
_cell_length_c 8.127
_cell_angle_alpha 90.00
_cell_angle_beta 90.00
_cell_angle_gamma 90.00
_space_group_name_H-M_alt 'F -4 3 m'
_space_group_IT_number 216
_space_group_name_Hall 'F -4 2 3'
loop_
_atom_site_label
_atom_site_fract_x
_atom_site_fract_y
_atom_site_fract_z
Na1 0.000 0.000 0.000
Sr1 0.000 0.000 0.500
Nb1 0.250 0.250 0.250
Sn1 0.250 0.250 0.750
O1 0.004 0.250 0.250
```

---

Record 2
Here is Sb4S5Cl2 after structural relaxation from the Materials Project. Energies are from PBE-GGA.

```
data_Sb4S5Cl2
_chemical_formula_sum 'Sb16 S20 Cl8'
_cell_length_a 11.207
_cell_length_b 9.565
_cell_length_c 12.060
_cell_angle_alpha 90.00
_cell_angle_beta 90.00
_cell_angle_gamma 90.00
_space_group_name_H-M_alt 'P n m a'
_space_group_IT_number 62
loop_
_space_group_symop_operation_xyz
'x,y,z'
'-x,-y,-z'
'-x+1/2,-y,z+1/2'
'x+1/2,y,-z+1/2'
'x+1/2,-y+1/2,-z+1/2'
'-x+1/2,y+1/2,z+1/2'
'-x,y+1/2,-z'
'x,-y+1/2,z'
loop_
_atom_site_label
_atom_site_fract_x
_atom_site_fract_y
_atom_site_fract_z
Sb1 0.045 0.250 0.005
Sb2 0.060 0.750 0.545
Sb3 0.222 0.532 0.158
S1 0.016 0.058 0.144
S2 0.178 0.750 0.030
S3 0.189 0.554 0.483
Cl1 0.016 0.250 0.654
Cl2 0.214 0.750 0.729
```

---

Record 3
# LiB (PBE-GGA, relaxed)
data_LiB
_chemical_formula_sum 'Li4 B4'
_cell_length_a 6.150
_cell_length_b 3.080
_cell_length_c 5.715
_cell_angle_alpha 90.00
_cell_angle_beta 90.00
_cell_angle_gamma 90.00
_space_group_name_H-M_alt 'P n m a'
_space_group_IT_number 62
loop_
_space_group_symop_operation_xyz
'x,y,z'
'-x,-y,-z'
'-x+1/2,-y,z+1/2'
'x+1/2,y,-z+1/2'
'x+1/2,-y+1/2,-z+1/2'
'-x+1/2,y+1/2,z+1/2'
'-x,y+1/2,-z'
'x,-y+1/2,z'
loop_
_atom_site_label
_atom_site_fract_x
_atom_site_fract_y
_atom_site_fract_z
Li1 0.243 0.250 0.242
B1 0.001 0.250 0.527
# - ΔE to the lowest computed polymorph (meV/atom) = 70.7

---

Record 4
Here is ThAlIr after structural relaxation from the Materials Project. Energies are from PBE-GGA.

```
data_ThAlIr
_chemical_formula_sum 'Th3 Al3 Ir3'
_cell_length_a 7.2294
_cell_length_b 7.2294
_cell_length_c 4.1635
_cell_angle_alpha 90.00
_cell_angle_beta 90.00
_cell_angle_gamma 120.00
_space_group_name_H-M_alt 'P -6 2 m'
_space_group_IT_number 189
_space_group_name_Hall 'P -6 -2'
loop_
_atom_site_label
_atom_site_fract_x
_atom_site_fract_y
_atom_site_fract_z
Th1 0.0000 0.4181 0.0000
Al1 0.0000 0.7700 0.5000
Ir1 0.0000 0.0000 0.0000
Ir2 0.3333 0.6667 0.5000
```

---

Record 5
# BiB (PBE-GGA, relaxed)
data_BiB
_chemical_formula_sum 'Bi2 B2'
_cell_length_a 3.9049
_cell_length_b 3.9049
_cell_length_c 6.4146
_cell_angle_alpha 90.00
_cell_angle_beta 90.00
_cell_angle_gamma 120.00
_space_group_name_H-M_alt 'P 63 m c'
_space_group_IT_number 186
_space_group_name_Hall 'P 6c -2c'
loop_
_atom_site_label
_atom_site_fract_x
_atom_site_fract_y
_atom_site_fract_z
Bi1 0.3333 0.6667 0.0000
B1 0.3333 0.6667 0.6252
# - ΔE to the lowest computed polymorph (meV/atom) = 14.3

---

Record 6
# Li2MnBr4 (PBE-GGA, relaxed)
data_Li2MnBr4
_chemical_formula_sum 'Li4 Mn2 Br8'
_cell_length_a 7.851
_cell_length_b 11.172
_cell_length_c 3.902
_cell_angle_alpha 90.00
_cell_angle_beta 90.00
_cell_angle_gamma 90.00
_space_group_name_H-M_alt 'C m m m'
_space_group_IT_number 65
_space_group_name_Hall '-C 2 2'
loop_
_atom_site_label
_atom_site_fract_x
_atom_site_fract_y
_atom_site_fract_z
Li1 0.250 0.250 0.000
Mn1 0.000 0.000 0.500
Br1 0.000 0.242 0.500
Br2 0.240 0.000 0.000
# - ΔE to the lowest computed polymorph (meV/atom) = 0.0

---

Record 7
Here is AgI3O8 after structural relaxation from the Materials Project. Energies are from PBE-GGA.

```
data_AgI3O8
_chemical_formula_sum 'Ag4 I12 O32'
_cell_length_a 8.267
_cell_length_b 8.243
_cell_length_c 12.048
_cell_angle_alpha 90.00
_cell_angle_beta 90.00
_cell_angle_gamma 90.00
_space_group_name_H-M_alt 'P n c 2'
_space_group_IT_number 30
loop_
_space_group_symop_operation_xyz
'x,y,z'
'-x,-y,z'
'-x,y+1/2,z+1/2'
'x,-y+1/2,z+1/2'
loop_
_atom_site_label
_atom_site_fract_x
_atom_site_fract_y
_atom_site_fract_z
Ag1 0.000 0.000 0.000
Ag2 0.500 0.000 0.030
I1 0.000 0.000 0.581
I2 0.229 0.245 0.825
I3 0.248 0.721 0.706
I4 0.500 0.000 0.454
O1 0.013 0.238 0.347
O2 0.085 0.738 0.090
O3 0.167 0.048 0.676
O4 0.230 0.505 0.682
O5 0.267 0.092 0.442
O6 0.268 0.068 0.911
O7 0.426 0.740 0.120
O8 0.445 0.667 0.860
```

---

Record 8
Here is GdGa3B4O12 after structural relaxation from the Materials Project. Energies are from PBE-GGA.

```
data_GdGa3B4O12
_chemical_formula_sum 'Gd3 Ga9 B12 O36'
_cell_length_a 9.5682
_cell_length_b 9.5682
_cell_length_c 7.5686
_cell_angle_alpha 90.00
_cell_angle_beta 90.00
_cell_angle_gamma 120.00
_space_group_name_H-M_alt 'R 3 2'
_space_group_IT_number 155
_space_group_name_Hall 'R 3 2"'
loop_
_atom_site_label
_atom_site_fract_x
_atom_site_fract_y
_atom_site_fract_z
Gd1 0.0000 0.0000 0.0000
Ga1 0.0000 0.5489 0.0000
B1 0.0000 0.0000 0.5000
B2 0.0000 0.4487 0.5000
O1 0.0000 0.5936 0.5000
O2 0.0000 0.8550 0.5000
O3 0.0239 0.2104 0.1857
```

---

Record 9
Here is PaCl5 after structural relaxation from the Materials Project. Energies are from PBE-GGA.

```
data_PaCl5
_chemical_formula_sum 'Pa4 Cl20'
_cell_length_a 8.570
_cell_length_b 12.180
_cell_length_c 8.477
_cell_angle_alpha 90.00
_cell_angle_beta 105.08
_cell_angle_gamma 90.00
_space_group_name_H-M_alt 'C 1 2/c 1'
_space_group_IT_number 15
loop_
_space_group_symop_operation_xyz
'x,y,z'
'-x,-y,-z'
'-x,y,-z+1/2'
'x,-y,z+1/2'
'x+1/2,y+1/2,z'
'-x+1/2,-y+1/2,-z'
'-x+1/2,y+1/2,-z+1/2'
'x+1/2,-y+1/2,z+1/2'
loop_
_atom_site_label
_atom_site_fract_x
_atom_site_fract_y
_atom_site_fract_z
Pa1 0.000 0.069 0.250
Cl1 0.000 0.275 0.250
Cl2 0.005 0.121 0.936
Cl3 0.199 0.437 0.669
```

---

Record 10
Here is Dy3Al2Ni6H9 after structural relaxation from the Materials Project. Energies are from PBE-GGA.

```
data_Dy3Al2Ni6H9
_chemical_formula_sum 'Dy12 Al8 Ni24 H36'
_cell_length_a 9.161
_cell_length_b 9.161
_cell_length_c 9.161
_cell_angle_alpha 90.00
_cell_angle_beta 90.00
_cell_angle_gamma 90.00
_space_group_name_H-M_alt 'I m -3 m'
_space_group_IT_number 229
_space_group_name_Hall '-I 4 2 3'
loop_
_atom_site_label
_atom_site_fract_x
_atom_site_fract_y
_atom_site_fract_z
Dy1 0.000 0.000 0.270
Al1 0.250 0.250 0.250
Ni1 0.000 0.338 0.338
H1 0.000 0.000 0.000
H2 0.000 0.000 0.500
H3 0.000 0.250 0.500
H4 0.132 0.132 0.132
```

---

Record 11
Here is Ca5As3CO12 after structural relaxation from the Materials Project. Energies are from PBE-GGA.

```
data_Ca5As3CO12
_chemical_formula_sum 'Ca10 As6 C2 O24'
_cell_length_a 10.0318
_cell_length_b 10.0318
_cell_length_c 7.0029
_cell_angle_alpha 90.00
_cell_angle_beta 90.00
_cell_angle_gamma 120.00
_space_group_name_H-M_alt 'P 63/m'
_space_group_IT_number 176
_space_group_name_Hall '-P 6c'
loop_
_atom_site_label
_atom_site_fract_x
_atom_site_fract_y
_atom_site_fract_z
Ca1 0.0105 0.2634 0.2500
Ca2 0.3333 0.6667 0.5015
As1 0.0277 0.6294 0.2500
C1 0.0000 0.0000 0.2500
O1 0.0931 0.7495 0.0555
O2 0.1326 0.5341 0.2500
O3 0.1666 0.4958 0.7500
```

---

Record 12
Here is Mn2Co2C after structural relaxation from the Materials Project. Energies are from PBE-GGA.

```
data_Mn2Co2C
_chemical_formula_sum 'Mn2 Co2 C1'
_cell_length_a 3.759
_cell_length_b 3.759
_cell_length_c 3.824
_cell_angle_alpha 90.00
_cell_angle_beta 90.00
_cell_angle_gamma 90.00
_space_group_name_H-M_alt 'P 4/m m m'
_space_group_IT_number 123
_space_group_name_Hall '-P 4 2'
loop_
_atom_site_label
_atom_site_fract_x
_atom_site_fract_y
_atom_site_fract_z
Mn1 0.000 0.000 0.000
Mn2 0.500 0.500 0.000
Co1 0.000 0.500 0.500
C1 0.000 0.000 0.500
```

---

no.,calculated volume (Å³/atom),raw total energy (eV per atom)
1,13.4,-6.978
2,29.4,-4.111
3,13.5,-4.389
4,20.9,-7.638
5,21.2,-4.449
6,24.4,-4.020
7,17.1,-4.211
8,10.0,-7.826
9,35.6,-4.960
10,9.6,-4.717
11,14.5,-6.336
12,10.8,-8.276